# 1
## LiThRh2 (PBE)

Data for a geometry-optimized LiThRh2 structure.

CIF file:
```
data_LiThRh2
_chemical_formula_sum 'Li4 Th4 Rh8'
_space_group_name_H-M_alt 'F m -3 m'
_space_group_IT_number 225
_space_group_name_Hall '-F 4 2 3'
_cell_length_a 6.664
_cell_length_b 6.664
_cell_length_c 6.664
_cell_angle_alpha 90.00
_cell_angle_beta 90.00
_cell_angle_gamma 90.00
loop_
_atom_site_label
_atom_site_fract_x
_atom_site_fract_y
_atom_site_fract_z
_atom_site_occupancy
Li1 0.000 0.000 0.000 1
Th1 0.000 0.000 0.500 1
Rh1 0.250 0.250 0.250 1
```

***

# 2
## LiTiRh2 (PBE)

Data for a geometry-optimized LiTiRh2 structure.

CIF file:
```
data_LiTiRh2
_chemical_formula_sum 'Li4 Ti4 Rh8'
_space_group_name_H-M_alt 'F m -3 m'
_space_group_IT_number 225
_space_group_name_Hall '-F 4 2 3'
_cell_length_a 6.033
_cell_length_b 6.033
_cell_length_c 6.033
_cell_angle_alpha 90.00
_cell_angle_beta 90.00
_cell_angle_gamma 90.00
loop_
_atom_site_label
_atom_site_fract_x
_atom_site_fract_y
_atom_site_fract_z
_atom_site_occupancy
Li1 0.000 0.000 0.000 1
Ti1 0.000 0.000 0.500 1
Rh1 0.250 0.250 0.250 1
```

***

# 3
## LiTmRh2 (PBE)

Data for a geometry-optimized LiTmRh2 structure.

CIF file:
```
data_LiTmRh2
_chemical_formula_sum 'Li4 Tm4 Rh8'
_space_group_name_H-M_alt 'F m -3 m'
_space_group_IT_number 225
_space_group_name_Hall '-F 4 2 3'
_cell_length_a 6.372
_cell_length_b 6.372
_cell_length_c 6.372
_cell_angle_alpha 90.00
_cell_angle_beta 90.00
_cell_angle_gamma 90.00
loop_
_atom_site_label
_atom_site_fract_x
_atom_site_fract_y
_atom_site_fract_z
_atom_site_occupancy
Li1 0.000 0.000 0.000 1
Tm1 0.000 0.000 0.500 1
Rh1 0.250 0.250 0.250 1
```

***

# 4
## LiTm2Rh (PBE)

Data for a geometry-optimized LiTm2Rh structure.

CIF file:
```
data_LiTm2Rh
_chemical_formula_sum 'Li4 Tm8 Rh4'
_space_group_name_H-M_alt 'F m -3 m'
_space_group_IT_number 225
_space_group_name_Hall '-F 4 2 3'
_cell_length_a 6.895
_cell_length_b 6.895
_cell_length_c 6.895
_cell_angle_alpha 90.00
_cell_angle_beta 90.00
_cell_angle_gamma 90.00
loop_
_atom_site_label
_atom_site_fract_x
_atom_site_fract_y
_atom_site_fract_z
_atom_site_occupancy
Li1 0.000 0.000 0.000 1
Tm1 0.250 0.250 0.250 1
Rh1 0.000 0.000 0.500 1
```

***

So what do the calculations give for formation energy from the elements? Going down the list: -0.626 -0.644 -0.565 -0.536 eV per atom.
So what do the calculations give for mass density? Going down the list: 9.98 7.88 9.80 9.07 g cm⁻³.
So what do the calculations give for total energy? Going down the list: -6.639 -6.777 -5.843 -5.092 eV/atom.